(1)
GdP | PBE-GGA | relaxed

a b c (Å): 4.045 4.045 4.045
angles (deg): 60.00 60.00 60.00
Sites, in units of the cell vectors:
Gd1 0.000 0.000 0.000
P1 0.500 0.500 0.500

- crystal system = cubic
- space-group type = Fm-3m

(2)
GdP5 | PBE-GGA | relaxed

a b c (Å): 4.930 5.402 9.516
angles (deg): 90.00 90.00 102.51
Sites, in units of the cell vectors:
Gd1 0.011 0.352 0.750
Gd2 0.989 0.648 0.250
P1 0.618 0.956 0.592
P2 0.285 0.404 0.469
P3 0.723 0.100 0.250
P4 0.618 0.956 0.908
P5 0.715 0.596 0.531
P6 0.277 0.900 0.750
P7 0.382 0.044 0.408
P8 0.285 0.404 0.031
P9 0.382 0.044 0.092
P10 0.715 0.596 0.969

- crystal system = monoclinic
- space-group type = P2_1/m

(3)
Gd3P6Pd20 | PBE-GGA | relaxed

a b c (Å): 8.707 8.707 8.707
angles (deg): 60.00 60.00 60.00
Sites, in units of the cell vectors:
Gd1 0.250 0.250 0.250
Gd2 0.750 0.750 0.750
Gd3 0.000 0.000 0.000
P1 0.737 0.263 0.263
P2 0.263 0.737 0.737
P3 0.263 0.737 0.263
P4 0.737 0.263 0.737
P5 0.263 0.263 0.737
P6 0.737 0.737 0.263
Pd1 0.385 0.385 0.385
Pd2 0.615 0.615 0.615
Pd3 0.385 0.385 0.845
Pd4 0.385 0.845 0.385
Pd5 0.615 0.615 0.155
Pd6 0.615 0.155 0.615
Pd7 0.845 0.385 0.385
Pd8 0.155 0.615 0.615
Pd9 0.346 0.000 0.000
Pd10 0.654 0.000 0.000
Pd11 0.000 0.346 0.654
Pd12 0.000 0.654 0.346
Pd13 0.000 0.346 0.000
Pd14 0.654 0.000 0.346
Pd15 0.000 0.654 0.000
Pd16 0.346 0.000 0.654
Pd17 0.000 0.000 0.346
Pd18 0.000 0.000 0.654
Pd19 0.654 0.346 0.000
Pd20 0.346 0.654 0.000

- crystal system = cubic
- space-group type = Fm-3m

(4)
GdPPt | PBE-GGA | relaxed

a b c (Å): 3.947 4.156 4.156
angles (deg): 120.00 90.00 90.00
Sites, in units of the cell vectors:
Gd1 0.000 0.000 0.000
P1 0.500 0.667 0.333
Pt1 0.500 0.333 0.667

- crystal system = hexagonal
- space-group type = P-6m2

(5)
Gd5P12Ru19 | PBE-GGA | relaxed

a b c (Å): 12.570 12.570 3.993
angles (deg): 90.00 90.00 120.00
Sites, in units of the cell vectors:
Gd1 0.183 0.183 0.500
Gd2 0.817 0.000 0.500
Gd3 0.000 0.817 0.500
Gd4 0.333 0.667 0.000
Gd5 0.667 0.333 0.000
P1 0.815 0.815 0.000
P2 0.185 0.000 0.000
P3 0.000 0.185 0.000
P4 0.172 0.477 0.500
P5 0.523 0.695 0.500
P6 0.305 0.828 0.500
P7 0.695 0.523 0.500
P8 0.828 0.305 0.500
P9 0.477 0.172 0.500
P10 0.374 0.374 0.000
P11 0.626 0.000 0.000
P12 0.000 0.626 0.000
Ru1 0.555 0.555 0.000
Ru2 0.445 0.000 0.000
Ru3 0.000 0.445 0.000
Ru4 0.716 0.716 0.500
Ru5 0.284 0.000 0.500
Ru6 0.000 0.284 0.500
Ru7 0.185 0.377 0.000
Ru8 0.623 0.807 0.000
Ru9 0.193 0.815 0.000
Ru10 0.807 0.623 0.000
Ru11 0.815 0.193 0.000
Ru12 0.377 0.185 0.000
Ru13 0.366 0.491 0.500
Ru14 0.509 0.875 0.500
Ru15 0.125 0.634 0.500
Ru16 0.875 0.509 0.500
Ru17 0.634 0.125 0.500
Ru18 0.491 0.366 0.500
Ru19 0.000 0.000 0.000

- crystal system = hexagonal
- space-group type = P-62m

(6)
GdPS4 | PBE-GGA | relaxed

a b c (Å): 10.807 10.807 12.277
angles (deg): 116.11 116.11 90.00
Sites, in units of the cell vectors:
Gd1 0.875 0.125 0.750
Gd2 0.375 0.625 0.750
Gd3 0.125 0.875 0.250
Gd4 0.625 0.375 0.250
Gd5 0.125 0.375 0.250
Gd6 0.625 0.875 0.250
Gd7 0.375 0.125 0.750
Gd8 0.875 0.625 0.750
P1 0.250 0.288 0.000
P2 0.250 0.788 0.000
P3 0.212 0.750 0.500
P4 0.788 0.250 0.500
P5 0.750 0.712 0.000
P6 0.750 0.212 0.000
P7 0.712 0.750 0.500
P8 0.288 0.250 0.500
S1 0.770 0.342 0.676
S2 0.406 0.842 0.676
S3 0.835 0.906 0.176
S4 0.842 0.406 0.176
S5 0.230 0.658 0.324
S6 0.594 0.158 0.324
S7 0.165 0.094 0.824
S8 0.158 0.594 0.824
S9 0.270 0.335 0.676
S10 0.906 0.835 0.676
S11 0.335 0.270 0.176
S12 0.342 0.770 0.176
S13 0.730 0.665 0.324
S14 0.094 0.165 0.324
S15 0.665 0.730 0.824
S16 0.658 0.230 0.824
S17 0.891 0.092 0.506
S18 0.115 0.592 0.506
S19 0.914 0.615 0.006
S20 0.592 0.115 0.006
S21 0.109 0.908 0.494
S22 0.885 0.408 0.494
S23 0.086 0.385 0.994
S24 0.408 0.885 0.994
S25 0.391 0.414 0.506
S26 0.615 0.914 0.506
S27 0.414 0.391 0.006
S28 0.092 0.891 0.006
S29 0.609 0.586 0.494
S30 0.385 0.086 0.494
S31 0.586 0.609 0.994
S32 0.908 0.109 0.994

- crystal system = tetragonal
- space-group type = I4_1/acd

(7)
GdPaRu2 | PBE-GGA | relaxed

a b c (Å): 4.857 4.857 4.857
angles (deg): 60.00 60.00 60.00
Sites, in units of the cell vectors:
Gd1 0.250 0.250 0.250
Pa1 0.750 0.750 0.750
Ru1 0.500 0.500 0.500
Ru2 0.000 0.000 0.000

- crystal system = cubic
- space-group type = Fm-3m

(8)
GdPaTc2 | PBE-GGA | relaxed

a b c (Å): 4.863 4.863 4.863
angles (deg): 60.00 60.00 60.00
Sites, in units of the cell vectors:
Gd1 0.500 0.500 0.500
Pa1 0.000 0.000 0.000
Tc1 0.250 0.250 0.250
Tc2 0.750 0.750 0.750

- crystal system = cubic
- space-group type = Fm-3m

| no. | formation energy from the elements (eV per atom) |
| --- | --- |
| 1 | -1.60 |
| 2 | -0.54 |
| 3 | -0.19 |
| 4 | -1.35 |
| 5 | -0.86 |
| 6 | -1.38 |
| 7 | -0.36 |
| 8 | -0.08 |